(1)
Here is an optimized crystal structure of Na7Sc2Ti2Si3P3O24 from the Materials Project. Energies are from PBE.

Properties
The crystal system is triclinic. As for the space-group type: P1. As for the energy relative to the elements: -291.9 kJ per mole of atoms. For the magnetization, the calculation gives 0.000 μB/atom.

Cell lengths 9.028, 9.014, 22.177 Å; angles 90.07, 89.95, 119.99 degrees
Element x y z (fractional)
1 O 0.491 0.376 0.142
2 P 0.663 0.624 0.583
3 O 0.175 0.008 0.589
4 O 0.830 0.805 0.587
5 Na 0.339 0.302 0.918
6 O 0.463 0.163 0.246
7 O 0.166 0.699 0.473
8 Na 0.671 0.344 0.337
9 O 0.889 0.511 0.142
10 O 0.973 0.156 0.589
11 Ti 0.013 0.007 0.146
12 O 0.821 0.987 0.412
13 O 0.862 0.350 0.923
14 Si 0.970 0.636 0.084
15 Na 0.970 0.307 0.416
16 O 0.173 0.475 0.251
17 Ti 0.336 0.668 0.021
18 Na 0.668 0.693 0.084
19 O 0.214 0.183 0.808
20 Ti 0.668 0.329 0.483
21 P 0.337 0.376 0.417
22 O 0.157 0.652 0.074
23 Na 0.002 0.999 0.500
24 Na 0.667 0.333 0.833
25 Sc 0.668 0.330 0.681
26 Si 0.708 0.002 0.749
27 O 0.648 0.152 0.425
28 Sc 0.994 0.998 0.853
29 Si 0.626 0.664 0.917
30 O 0.491 0.348 0.425
31 O 0.346 0.504 0.075
32 Si 0.033 0.666 0.417
33 O 0.499 0.133 0.922
34 Na 0.028 0.336 0.085
35 Na 0.630 0.002 0.252
36 O 0.175 0.977 0.915
37 O 0.158 0.471 0.973
38 Na 0.031 0.696 0.584
39 Na 0.961 0.665 0.919
40 O 0.530 0.838 0.475
41 O 0.024 0.824 0.693
42 P 0.665 0.034 0.084
43 O 0.511 0.635 0.857
44 Si 0.625 0.959 0.417
45 O 0.172 0.194 0.413
46 O 0.638 0.526 0.642
47 O 0.646 0.494 0.920
48 O 0.158 0.689 0.752
49 P 0.044 0.377 0.917
50 O 0.699 0.537 0.248
51 Na 0.994 0.365 0.749
52 P 0.285 0.001 0.251
53 O 0.019 0.186 0.192
54 Na 0.000 0.624 0.250
55 O 0.831 0.808 0.305
56 O 0.834 0.300 0.526
57 Sc 0.339 0.668 0.814
58 O 0.170 0.977 0.196
59 O 0.030 0.846 0.410
60 O 0.305 0.469 0.469
61 P 0.335 0.956 0.917
62 P 0.998 0.710 0.749
63 O 0.801 0.823 0.193
64 Si 0.369 0.333 0.083
65 O 0.296 0.463 0.751
66 O 0.835 0.532 0.745
67 Na 0.369 0.372 0.249
68 O 0.510 0.653 0.575
69 O 0.826 0.301 0.249
70 O 0.520 0.828 0.749
71 O 0.363 0.476 0.358
72 O 0.352 0.847 0.574
73 O 0.847 0.496 0.428
74 Na 0.633 0.634 0.749
75 O 0.302 0.839 0.252
76 Na 0.336 0.033 0.417
77 O 0.537 0.699 0.254
78 O 0.447 0.299 0.023
79 O 0.199 0.023 0.308
80 Si 0.999 0.287 0.251
81 O 0.638 0.116 0.140
82 O 0.694 0.529 0.531
83 O 0.469 0.314 0.743
84 Sc 0.328 0.663 0.318
85 O 0.847 0.554 0.025
86 Ti 0.330 0.671 0.517
87 O 0.510 0.883 0.357
88 O 0.980 0.165 0.309
89 Na 0.661 0.967 0.583
90 P 0.288 0.288 0.749
91 O 0.169 0.189 0.695
92 O 0.173 0.169 0.091
93 O 0.358 0.877 0.858
94 O 0.977 0.793 0.807
95 Ti 0.001 0.009 0.644
96 O 0.468 0.162 0.524
97 O 0.154 0.505 0.572
98 O 0.508 0.852 0.077
99 O 0.121 0.484 0.860
100 O 0.891 0.378 0.643
101 Ti 0.986 0.994 0.356
102 Si 0.967 0.337 0.583
103 Na 0.372 0.001 0.747
104 P 0.715 0.716 0.249
105 O 0.488 0.114 0.642
106 Na 0.334 0.659 0.663
107 Sc 0.672 0.337 0.183
108 O 0.310 0.836 0.971
109 O 0.814 0.838 0.917
110 O 0.700 0.147 0.028
111 O 0.826 0.012 0.090
112 O 0.823 0.032 0.809
113 O 0.110 0.622 0.357
114 Na 0.701 0.033 0.917
115 O 0.978 0.821 0.093
116 O 0.035 0.201 0.915
117 O 0.812 0.978 0.691
118 O 0.523 0.688 0.975
119 O 0.689 0.172 0.746
120 Na 0.327 0.670 0.165
121 Sc 0.664 0.339 0.986
122 Si 0.370 0.039 0.583
123 Na 0.008 0.995 0.002

---

(2)
Here is an optimized crystal structure of Na5Sc2Ti2SiP5O24 from the Materials Project. Energies are from PBE.

Properties
The crystal system is triclinic. As for the space-group type: P1. As for the energy relative to the elements: -292.2 kJ per mole of atoms. For the magnetization, the calculation gives 0.000 μB/atom.

Cell lengths 8.904, 8.891, 22.425 Å; angles 90.04, 89.98, 120.10 degrees
Element x y z (fractional)
1 O 0.533 0.693 0.972
2 P 0.626 0.670 0.915
3 Ti 0.331 0.668 0.521
4 O 0.825 0.021 0.090
5 O 0.503 0.647 0.578
6 O 0.502 0.135 0.641
7 O 0.828 0.533 0.742
8 O 0.840 0.030 0.807
9 O 0.130 0.485 0.862
10 Na 0.031 0.332 0.084
11 O 0.366 0.505 0.077
12 Sc 0.000 0.999 0.151
13 O 0.523 0.836 0.753
14 Na 0.672 0.699 0.082
15 O 0.849 0.298 0.527
16 P 0.044 0.666 0.417
17 P 0.624 0.955 0.419
18 Sc 0.341 0.667 0.314
19 O 0.698 0.157 0.029
20 O 0.143 0.499 0.577
21 O 0.493 0.352 0.422
22 O 0.155 0.641 0.076
23 O 0.454 0.295 0.029
24 Na 0.657 0.334 0.332
25 O 0.692 0.519 0.242
26 Sc 0.995 0.996 0.351
27 O 0.509 0.873 0.364
28 Na 0.342 0.667 0.170
29 Na 0.630 0.634 0.750
30 P 0.285 0.284 0.750
31 O 0.520 0.648 0.859
32 O 0.523 0.680 0.254
33 O 0.185 0.973 0.194
34 Na 0.300 0.970 0.083
35 Ti 0.992 0.002 0.854
36 O 0.021 0.213 0.193
37 O 0.970 0.186 0.306
38 O 0.967 0.800 0.805
39 P 0.962 0.334 0.583
40 O 0.360 0.848 0.577
41 O 0.975 0.169 0.593
42 O 0.310 0.473 0.473
43 Na 0.002 0.991 0.502
44 O 0.354 0.874 0.859
45 O 0.313 0.839 0.255
46 O 0.201 0.166 0.805
47 O 0.172 0.193 0.694
48 O 0.026 0.831 0.695
49 Na 0.001 0.996 0.996
50 P 0.667 0.625 0.586
51 P 0.301 0.006 0.250
52 Na 0.368 0.999 0.752
53 O 0.312 0.468 0.753
54 Si 0.960 0.625 0.083
55 O 0.824 0.785 0.302
56 O 0.646 0.140 0.423
57 O 0.194 0.180 0.091
58 Ti 0.671 0.325 0.684
59 O 0.867 0.362 0.638
60 O 0.833 0.537 0.028
61 O 0.809 0.839 0.911
62 O 0.785 0.807 0.191
63 O 0.534 0.844 0.476
64 O 0.470 0.303 0.743
65 O 0.033 0.192 0.911
66 P 0.995 0.712 0.750
67 O 0.177 0.015 0.594
68 O 0.808 0.975 0.691
69 O 0.167 0.691 0.472
70 O 0.152 0.481 0.254
71 O 0.829 0.313 0.243
72 Na 0.318 0.652 0.666
73 P 0.329 0.959 0.915
74 Na 0.002 0.640 0.251
75 O 0.862 0.349 0.923
76 O 0.869 0.498 0.142
77 O 0.451 0.150 0.523
78 P 0.335 0.380 0.418
79 O 0.645 0.509 0.921
80 O 0.808 0.978 0.414
81 Na 0.967 0.300 0.416
82 O 0.825 0.813 0.592
83 Ti 0.005 0.000 0.648
84 Sc 0.668 0.338 0.978
85 Si 0.717 0.007 0.749
86 O 0.489 0.136 0.923
87 Na 0.337 0.036 0.418
88 O 0.700 0.548 0.530
89 O 0.167 0.197 0.415
90 P 0.379 0.336 0.083
91 Ti 0.326 0.666 0.014
92 O 0.158 0.464 0.973
93 O 0.499 0.366 0.138
94 Ti 0.669 0.333 0.185
95 O 0.356 0.485 0.362
96 Na 0.676 0.335 0.837
97 P 0.042 0.371 0.916
98 O 0.632 0.130 0.138
99 O 0.036 0.836 0.414
100 P 0.995 0.295 0.249
101 O 0.989 0.820 0.089
102 O 0.866 0.502 0.424
103 Si 0.368 0.039 0.583
104 O 0.160 0.697 0.754
105 O 0.640 0.512 0.642
106 P 0.703 0.700 0.248
107 O 0.217 0.032 0.307
108 O 0.693 0.180 0.742
109 O 0.499 0.858 0.077
110 Sc 0.330 0.664 0.814
111 P 0.664 0.043 0.083
112 O 0.160 0.968 0.911
113 O 0.482 0.170 0.241
114 O 0.306 0.838 0.971
115 Na 0.667 0.969 0.584
116 O 0.123 0.638 0.360
117 Sc 0.662 0.339 0.484

---

(3)
Here is an optimized crystal structure of Na4YScSiP2O12 from the Materials Project. Energies are from PBE.

Properties
The crystal system is triclinic. As for the space-group type: P1. As for the energy relative to the elements: -293.4 kJ per mole of atoms. For the magnetization, the calculation gives 0.000 μB/atom.

Cell lengths 9.302, 9.302, 22.808 Å; angles 90.04, 89.93, 120.01 degrees
Element x y z (fractional)
1 O 0.493 0.351 0.420
2 O 0.159 0.664 0.085
3 Na 0.030 0.336 0.090
4 O 0.985 0.182 0.309
5 O 0.464 0.154 0.249
6 O 0.359 0.481 0.362
7 O 0.641 0.111 0.139
8 Y 0.672 0.335 0.186
9 O 0.512 0.643 0.581
10 Na 0.638 0.001 0.254
11 O 0.312 0.839 0.257
12 Na 0.007 0.992 0.002
13 O 0.175 0.483 0.255
14 O 0.696 0.133 0.030
15 O 0.852 0.310 0.529
16 Na 0.977 0.675 0.922
17 O 0.483 0.133 0.641
18 O 0.230 0.198 0.803
19 Si 0.026 0.666 0.416
20 O 0.518 0.835 0.746
21 O 0.656 0.509 0.919
22 P 0.357 0.328 0.086
23 O 0.865 0.567 0.026
24 O 0.875 0.354 0.639
25 Na 0.007 0.994 0.499
26 P 0.671 0.626 0.584
27 Na 0.377 0.006 0.748
28 Si 0.702 0.005 0.746
29 P 0.290 0.994 0.252
30 O 0.148 0.674 0.748
31 O 0.353 0.855 0.583
32 O 0.788 0.813 0.196
33 Na 0.359 0.367 0.250
34 Y 0.330 0.670 0.016
35 O 0.552 0.682 0.972
36 O 0.838 0.315 0.252
37 Na 0.679 0.700 0.083
38 O 0.183 0.171 0.091
39 O 0.305 0.441 0.472
40 Na 0.690 0.031 0.911
41 O 0.652 0.523 0.639
42 Y 0.337 0.674 0.815
43 O 0.502 0.162 0.918
44 Na 0.661 0.319 0.832
45 O 0.183 0.021 0.587
46 O 0.466 0.350 0.140
47 O 0.971 0.771 0.803
48 O 0.692 0.541 0.529
49 Si 0.369 0.040 0.583
50 O 0.810 0.824 0.913
51 Sc 0.999 0.999 0.648
52 O 0.835 0.523 0.740
53 Y 0.999 0.000 0.845
54 O 0.530 0.698 0.257
55 P 0.030 0.362 0.916
56 O 0.678 0.532 0.249
57 O 0.019 0.813 0.694
58 Na 0.967 0.305 0.412
59 O 0.804 0.033 0.807
60 Na 0.321 0.660 0.169
61 O 0.136 0.482 0.580
62 Na 0.989 0.356 0.749
63 P 0.957 0.328 0.584
64 O 0.857 0.348 0.920
65 Y 0.669 0.336 0.988
66 O 0.833 0.017 0.092
67 O 0.882 0.527 0.142
68 O 0.202 0.014 0.306
69 O 0.971 0.169 0.588
70 Si 0.006 0.297 0.252
71 Na 0.638 0.638 0.744
72 O 0.530 0.644 0.861
73 O 0.682 0.172 0.742
74 O 0.313 0.470 0.748
75 Na 0.333 0.294 0.917
76 O 0.027 0.209 0.193
77 O 0.341 0.485 0.082
78 Sc 0.002 0.002 0.153
79 O 0.460 0.154 0.525
80 Sc 0.664 0.331 0.484
81 Si 0.975 0.648 0.086
82 P 0.702 0.710 0.252
83 O 0.811 0.990 0.408
84 O 0.186 0.972 0.196
85 O 0.116 0.466 0.860
86 Na 0.664 0.968 0.589
87 O 0.311 0.867 0.975
88 O 0.005 0.830 0.409
89 O 0.189 0.202 0.694
90 O 0.992 0.832 0.091
91 Sc 0.999 0.000 0.350
92 Sc 0.322 0.660 0.318
93 O 0.179 0.190 0.409
94 O 0.356 0.888 0.858
95 P 0.673 0.028 0.086
96 O 0.167 0.995 0.915
97 O 0.805 0.984 0.691
98 O 0.480 0.324 0.740
99 O 0.829 0.803 0.588
100 O 0.812 0.795 0.306
101 Na 0.039 0.709 0.581
102 O 0.560 0.860 0.471
103 O 0.523 0.850 0.081
104 Na 0.678 0.337 0.337
105 O 0.648 0.141 0.420
106 O 0.135 0.446 0.971
107 Si 0.334 0.978 0.916
108 Na 0.341 0.680 0.666
109 O 0.140 0.704 0.475
110 P 0.634 0.967 0.414
111 O 0.438 0.303 0.030
112 Na 0.706 0.668 0.416
113 P 0.994 0.696 0.746
114 Y 0.330 0.670 0.515
115 Na 0.300 0.325 0.583
116 Na 0.326 0.025 0.420
117 P 0.334 0.366 0.415
118 Sc 0.663 0.325 0.681
119 P 0.637 0.665 0.916
120 P 0.302 0.299 0.746
121 O 0.123 0.637 0.360
122 O 0.520 0.877 0.362
123 O 0.843 0.496 0.421
124 Na 0.292 0.964 0.082
125 Na 0.003 0.628 0.251
126 O 0.009 0.186 0.913

---

Question: What is the energy relative to the elements in the second record?
Answer: -292.2 kJ per mole of atoms

---

Question: What is the energy relative to the elements in the second record?
Answer: -292.2 kJ per mole of atoms

---

Question: Which formula does entry 3 have?
Answer: Na4YScSiP2O12

---

Question: Number 1 is which compound?
Answer: Na7Sc2Ti2Si3P3O24